1.
Here is a relaxed Li6MnV3P6O24 crystal from Materials Project. Energies are from PBE+U.

- Calculated volume: 470.8 Å³ per cell
- DFT formation energy: -106.192 eV/f.u.
- E_tot: -282.03 eV per formula unit
- Excess energy over the best structure of this formula in the dataset: 1.25 eV per formula unit
- Total magnetic moment: 0.25 μB per atom

a = 8.5601 Å, b = 8.5789 Å, c = 8.6278 Å
α = 62.15°, β = 62.26°, γ = 62.43°
Space group P1 (No. 1)
Inequivalent atoms, fractional coordinates:
Li 0.0000 0.0000 0.0000 [1 per cell]
Li 0.0821 0.8764 0.5220 [1 per cell]
Li 0.1791 0.3816 0.4353 [1 per cell]
Li 0.3713 0.7241 0.1552 [1 per cell]
Li 0.6194 0.5646 0.8139 [1 per cell]
Li 0.8243 0.2330 0.6592 [1 per cell]
Mn 0.9935 0.3757 0.8134 [1 per cell]
V 0.1976 0.5780 0.0142 [1 per cell]
V 0.4859 0.8714 0.2998 [1 per cell]
V 0.7015 0.0858 0.5184 [1 per cell]
P 0.0935 0.1696 0.2128 [1 per cell]
P 0.3000 0.9699 0.6982 [1 per cell]
P 0.3991 0.4735 0.6028 [1 per cell]
P 0.5884 0.2665 0.1209 [1 per cell]
P 0.7871 0.7775 0.9106 [1 per cell]
P 0.8857 0.6881 0.4078 [1 per cell]
O 0.0355 0.1840 0.0627 [1 per cell]
O 0.0761 0.6584 0.2513 [1 per cell]
O 0.1136 0.1303 0.7152 [1 per cell]
O 0.1516 0.3339 0.1697 [1 per cell]
O 0.2427 0.4219 0.6160 [1 per cell]
O 0.2507 0.9761 0.2419 [1 per cell]
O 0.2761 0.8123 0.8911 [1 per cell]
O 0.3261 0.9073 0.5426 [1 per cell]
O 0.3555 0.5268 0.7689 [1 per cell]
O 0.4175 0.6420 0.4173 [1 per cell]
O 0.4345 0.4612 0.0933 [1 per cell]
O 0.4690 0.0161 0.6589 [1 per cell]
O 0.5121 0.1096 0.1721 [1 per cell]
O 0.5885 0.3166 0.5869 [1 per cell]
O 0.5991 0.8105 0.0692 [1 per cell]
O 0.6474 0.2306 0.2789 [1 per cell]
O 0.7195 0.7477 0.3442 [1 per cell]
O 0.7463 0.2716 0.9337 [1 per cell]
O 0.7947 0.6244 0.8595 [1 per cell]
O 0.7950 0.9595 0.7439 [1 per cell]
O 0.8701 0.8429 0.4643 [1 per cell]
O 0.8886 0.5005 0.5668 [1 per cell]
O 0.9430 0.1498 0.4073 [1 per cell]
O 0.9544 0.7246 0.9701 [1 per cell]

2.
Here is a relaxed Li6MnV3P6O24 crystal from Materials Project. Energies are from PBE+U.

- Calculated volume: 940.7 Å³ per cell
- DFT formation energy: -105.820 eV/f.u.
- E_tot: -281.66 eV per formula unit
- Excess energy over the best structure of this formula in the dataset: 1.63 eV per formula unit
- Total magnetic moment: 0.25 μB per atom

a = 9.7731 Å, b = 9.8412 Å, c = 9.8479 Å
α = 84.79°, β = 86.52°, γ = 87.31°
Space group P1 (No. 1)
Inequivalent atoms, fractional coordinates:
Li 0.0000 0.0000 0.0000 [1 per cell]
Li 0.0073 0.4867 0.6406 [1 per cell]
Li 0.1595 0.1798 0.6773 [1 per cell]
Li 0.2100 0.9457 0.4547 [1 per cell]
Li 0.3631 0.9888 0.1460 [1 per cell]
Li 0.3749 0.6328 0.6246 [1 per cell]
Li 0.4263 0.7676 0.3617 [1 per cell]
Li 0.5713 0.5182 0.3761 [1 per cell]
Li 0.6515 0.8214 0.1569 [1 per cell]
Li 0.7218 0.4741 0.8124 [1 per cell]
Li 0.7981 0.2447 0.1216 [1 per cell]
Li 0.9397 0.2675 0.8679 [1 per cell]
Mn 0.6871 0.0114 0.6252 [1 per cell]
Mn 0.9083 0.9905 0.4051 [1 per cell]
V 0.1857 0.5005 0.1271 [1 per cell]
V 0.1879 0.7203 0.9067 [1 per cell]
V 0.4035 0.2827 0.1283 [1 per cell]
V 0.4659 0.2224 0.6324 [1 per cell]
V 0.6878 0.7880 0.8436 [1 per cell]
V 0.9685 0.5036 0.3462 [1 per cell]
P 0.0848 0.1989 0.2029 [1 per cell]
P 0.1162 0.8037 0.2154 [1 per cell]
P 0.2557 0.4097 0.8250 [1 per cell]
P 0.2827 0.4277 0.4297 [1 per cell]
P 0.3880 0.9065 0.6910 [1 per cell]
P 0.4879 0.5961 0.0564 [1 per cell]
P 0.5908 0.0760 0.3278 [1 per cell]
P 0.6106 0.0927 0.9352 [1 per cell]
P 0.7631 0.6982 0.5362 [1 per cell]
P 0.7795 0.3067 0.5609 [1 per cell]
P 0.8839 0.5733 0.0345 [1 per cell]
P 0.9883 0.9368 0.7241 [1 per cell]
O 0.0295 0.0597 0.7965 [1 per cell]
O 0.0312 0.9536 0.5688 [1 per cell]
O 0.0452 0.1223 0.3441 [1 per cell]
O 0.0462 0.5794 0.9977 [1 per cell]
O 0.0487 0.7993 0.7850 [1 per cell]
O 0.0587 0.3573 0.2149 [1 per cell]
O 0.1120 0.6435 0.2498 [1 per cell]
O 0.1266 0.3514 0.7745 [1 per cell]
O 0.1276 0.4615 0.4664 [1 per cell]
O 0.1293 0.8423 0.0565 [1 per cell]
O 0.2404 0.1631 0.1740 [1 per cell]
O 0.2413 0.8557 0.2802 [1 per cell]
O 0.2553 0.5682 0.7863 [1 per cell]
O 0.2604 0.3762 0.9847 [1 per cell]
O 0.3101 0.4175 0.2700 [1 per cell]
O 0.3162 0.2869 0.5043 [1 per cell]
O 0.3266 0.6315 0.0487 [1 per cell]
O 0.3295 0.8457 0.8292 [1 per cell]
O 0.3433 0.0614 0.6716 [1 per cell]
O 0.3474 0.8336 0.5687 [1 per cell]
O 0.3747 0.5409 0.4632 [1 per cell]
O 0.3909 0.3477 0.7635 [1 per cell]
O 0.4724 0.1306 0.0118 [1 per cell]
O 0.5144 0.4388 0.0641 [1 per cell]
O 0.5242 0.9516 0.2796 [1 per cell]
O 0.5284 0.2138 0.2662 [1 per cell]
O 0.5354 0.6588 0.1818 [1 per cell]
O 0.5507 0.8829 0.7003 [1 per cell]
O 0.5546 0.6512 0.9180 [1 per cell]
O 0.5594 0.0826 0.4885 [1 per cell]
O 0.5948 0.1285 0.7774 [1 per cell]
O 0.6217 0.3398 0.5595 [1 per cell]
O 0.6302 0.9326 0.9686 [1 per cell]
O 0.6380 0.6597 0.4665 [1 per cell]
O 0.7349 0.1646 0.9736 [1 per cell]
O 0.7441 0.6658 0.6960 [1 per cell]
O 0.7478 0.0753 0.2940 [1 per cell]
O 0.7789 0.8589 0.4991 [1 per cell]
O 0.8126 0.1477 0.5615 [1 per cell]
O 0.8200 0.7121 0.9801 [1 per cell]
O 0.8267 0.9260 0.7492 [1 per cell]
O 0.8354 0.4483 0.9719 [1 per cell]
O 0.8428 0.3605 0.6839 [1 per cell]
O 0.8443 0.3651 0.4224 [1 per cell]
O 0.8556 0.5640 0.1921 [1 per cell]
O 0.9008 0.6250 0.4954 [1 per cell]
O 0.9774 0.8649 0.2649 [1 per cell]
O 0.9958 0.1643 0.0894 [1 per cell]

3.
Here is a relaxed LiMnVP4O14 crystal from Materials Project. Energies are from PBE+U.

- Calculated volume: 526.8 Å³ per cell
- DFT formation energy: -54.425 eV/f.u.
- E_tot: -152.52 eV per formula unit
- Excess energy over the best structure of this formula in the dataset: 0.07 eV per formula unit
- Total magnetic moment: 0.24 μB per atom

a = 7.1447 Å, b = 8.1794 Å, c = 9.6772 Å
α = 90.79°, β = 111.24°, γ = 91.34°
Space group P1 (No. 1)
Inequivalent atoms, fractional coordinates:
Li 0.0000 0.0000 0.0000 [1 per cell]
Li 0.3459 0.5052 0.4989 [1 per cell]
Mn 0.9402 0.6494 0.4894 [1 per cell]
Mn 0.9515 0.6351 0.9923 [1 per cell]
V 0.3926 0.1377 0.5039 [1 per cell]
V 0.3992 0.1477 0.0043 [1 per cell]
P 0.1560 0.3247 0.1897 [1 per cell]
P 0.1586 0.3203 0.6886 [1 per cell]
P 0.1917 0.8167 0.8074 [1 per cell]
P 0.1962 0.8198 0.3072 [1 per cell]
P 0.5833 0.9296 0.8114 [1 per cell]
P 0.5876 0.9305 0.3107 [1 per cell]
P 0.7634 0.4246 0.1845 [1 per cell]
P 0.7650 0.4227 0.6845 [1 per cell]
O 0.0638 0.8192 0.1426 [1 per cell]
O 0.0655 0.8157 0.6426 [1 per cell]
O 0.1442 0.6800 0.8950 [1 per cell]
O 0.1551 0.6804 0.3966 [1 per cell]
O 0.1810 0.4893 0.1329 [1 per cell]
O 0.1842 0.4854 0.6284 [1 per cell]
O 0.1872 0.9863 0.8796 [1 per cell]
O 0.1890 0.9900 0.3740 [1 per cell]
O 0.1922 0.1789 0.1000 [1 per cell]
O 0.2016 0.1778 0.6008 [1 per cell]
O 0.2799 0.3041 0.8562 [1 per cell]
O 0.2811 0.3126 0.3578 [1 per cell]
O 0.4238 0.7937 0.8244 [1 per cell]
O 0.4248 0.7934 0.3213 [1 per cell]
O 0.5164 0.9746 0.6470 [1 per cell]
O 0.5162 0.9833 0.1469 [1 per cell]
O 0.5617 0.3286 0.6208 [1 per cell]
O 0.5653 0.3250 0.1283 [1 per cell]
O 0.5748 0.0812 0.4054 [1 per cell]
O 0.5825 0.0830 0.9065 [1 per cell]
O 0.7594 0.5746 0.5929 [1 per cell]
O 0.7679 0.5738 0.0923 [1 per cell]
O 0.7826 0.8456 0.3601 [1 per cell]
O 0.7855 0.8517 0.8669 [1 per cell]
O 0.8140 0.4623 0.8480 [1 per cell]
O 0.8161 0.4704 0.3483 [1 per cell]
O 0.9237 0.2926 0.1719 [1 per cell]
O 0.9258 0.2942 0.6700 [1 per cell]